# 1
108
Lattice="-1.593 5.787 8.638 -7.713 1.699 -2.561 -6.505 -12.485 7.164" Properties=species:S:1:pos:R:3 comment="CdRe2H8C2N4O10 | Materials Project | PBE | optimized geometry" corrected_energy_ev_per_atom=-6.9296 delta_e_f_mev_per_atom=-1217 density_g_cm3=3.5 pbc="T T T"
Cd -9.322 1.647 4.491
Cd -9.776 -7.868 4.377
Cd -6.490 -6.646 8.750
Cd -6.036 2.869 8.864
Re -9.891 5.003 6.411
Re -10.270 -7.363 8.221
Re -5.921 -10.002 6.830
Re -5.542 2.364 5.020
Re -5.232 -0.889 8.406
Re -6.517 -5.711 4.995
Re -10.580 -4.110 4.835
Re -9.295 0.712 8.247
H -6.952 -2.247 4.659
H -5.309 -2.486 11.527
H -8.859 -2.752 8.582
H -10.502 -2.513 1.715
H -7.768 -0.877 5.356
H -12.646 -0.563 10.650
H -8.043 -4.122 7.886
H -3.165 -4.436 2.591
H -6.961 -2.590 2.364
H -12.386 -2.724 7.858
H -8.850 -2.409 10.877
H -3.426 -2.275 5.384
H -7.829 -1.471 1.323
H -11.486 -3.962 8.721
H -7.983 -3.528 11.918
H -4.326 -1.037 4.520
H -8.284 -10.005 9.587
H -3.972 5.250 6.567
H -7.527 5.006 3.654
H -11.840 -10.249 6.674
H -2.700 3.145 3.745
H -10.038 -6.150 15.022
H -13.112 -8.144 9.497
H -5.773 1.151 -1.780
H -8.353 2.201 0.121
H -11.299 -6.411 11.751
H -7.459 -7.200 13.121
H -4.513 1.412 1.491
H -8.397 1.316 1.623
H -11.482 -4.696 11.486
H -7.414 -6.315 11.618
H -4.329 -0.303 1.755
C -7.903 -1.024 3.309
C -11.983 -2.332 9.837
C -7.908 -3.975 9.932
C -3.828 -2.667 3.405
C -1.762 1.374 4.175
C -10.745 -5.218 13.339
C -14.050 -6.373 9.066
C -5.066 0.219 -0.098
N -7.464 -1.379 4.526
N -12.645 -1.165 9.832
N -8.347 -3.620 8.715
N -3.166 -3.834 3.410
N -7.589 -1.799 2.256
N -11.891 -3.030 8.691
N -8.222 -3.200 10.986
N -3.920 -1.969 4.550
N -2.145 2.388 3.365
N -10.347 -6.287 14.067
N -13.667 -7.386 9.877
N -5.465 1.288 -0.826
N -8.631 2.158 1.094
N -11.268 -5.468 12.121
N -7.180 -7.157 12.148
N -4.544 0.469 1.121
O -9.600 3.286 6.154
O -10.197 -6.967 6.507
O -6.211 -8.285 7.088
O -5.614 1.968 6.734
O -3.829 3.690 8.470
O -8.634 -7.694 8.806
O -11.983 -8.689 4.772
O -7.177 2.696 4.436
O -8.771 5.970 5.467
O -11.265 -8.785 8.487
O -7.041 -10.969 7.775
O -4.547 3.786 4.755
O -8.144 -0.425 -0.532
O -10.897 -5.999 9.098
O -7.667 -4.574 13.774
O -4.914 1.000 4.144
O -3.759 -0.855 7.423
O -7.683 -6.858 4.316
O -12.053 -4.143 5.818
O -8.129 1.859 8.926
O -5.413 0.597 9.347
O -6.825 -5.417 6.711
O -10.398 -5.596 3.894
O -8.986 0.418 6.530
O -5.168 -2.269 9.480
O -6.615 -4.206 4.107
O -10.644 -2.730 3.761
O -9.196 -0.793 9.135
O -6.607 -1.091 7.364
O -4.912 -6.343 4.791
O -9.205 -3.908 5.877
O -10.900 1.344 8.450
O -8.614 0.033 3.110
O -11.432 -2.810 10.900
O -7.198 -5.032 10.131
O -4.380 -2.189 2.342
O -2.199 1.330 5.375
O -9.026 -9.830 5.188
O -13.612 -6.329 7.866
O -6.786 4.831 8.054


# 2
2
Lattice="-0.293 -1.904 -2.859 0.270 1.502 -3.091 5.665 -0.987 -0.717" Properties=species:S:1:pos:R:3 comment="TlSn | Materials Project | PBE | optimized geometry" delta_e_f_mev_per_atom=54 density_g_cm3=9.1 pbc="T T T"
Tl 4.249 -0.875 -2.517
Sn 1.392 -0.513 -4.150


# 3
16
Lattice="-2.519 2.841 -3.253 0.941 -4.082 -4.293 -9.617 -5.238 2.872" Properties=species:S:1:pos:R:3 comment="HfMg6Ga | Materials Project | PBE | optimized geometry" delta_e_f_mev_per_atom=23 density_g_cm3=3.9 pbc="T T T"
Hf -7.766 -2.123 0.317
Hf -2.488 -1.545 -3.266
Mg -9.446 -6.482 -2.190
Mg -9.916 -4.443 -0.045
Mg -5.336 -4.032 0.611
Mg -4.856 -6.113 -1.579
Mg -7.418 -6.337 0.209
Mg -7.972 -4.342 2.381
Mg -5.108 -1.823 -1.479
Mg -4.637 -3.865 -3.628
Mg -0.057 -3.453 -2.972
Mg -0.518 -1.454 -0.869
Mg -3.080 -1.677 0.920
Mg -2.693 -3.764 -1.202
Ga -7.207 -4.116 -1.856
Ga -2.869 0.544 -1.146


# 4
29
Lattice="-5.265 5.265 5.265 5.265 -5.265 5.265 5.265 5.265 -5.265" Properties=species:S:1:pos:R:3 comment="TmMg16Al12 | Materials Project | PBE | optimized geometry" polymorph_energy_kcal_per_mol_atoms=0.00 delta_e_f_mev_per_atom=-68 density_g_cm3=2.5 pbc="T T T"
Tm 0.000 0.000 0.000
Mg 1.496 -1.496 4.855
Mg -1.496 1.496 4.855
Mg -1.874 1.874 1.874
Mg 1.874 -1.874 1.874
Mg 3.769 3.769 0.410
Mg 5.674 1.496 1.496
Mg 1.496 5.674 1.496
Mg 3.390 3.390 3.390
Mg 1.496 4.855 -1.496
Mg 4.855 1.496 -1.496
Mg 0.410 3.769 3.769
Mg 3.769 0.410 3.769
Mg 1.874 1.874 -1.874
Mg -1.496 4.855 1.496
Mg 4.855 -1.496 1.496
Mg 1.496 1.496 5.674
Al -0.952 0.952 7.616
Al 0.952 -0.952 7.616
Al 4.312 4.312 -2.352
Al 0.952 7.616 -0.952
Al 7.616 0.952 -0.952
Al 7.616 -0.952 0.952
Al -0.952 7.616 0.952
Al 2.913 0.952 0.952
Al 0.952 2.913 0.952
Al 4.312 -2.352 4.312
Al -2.352 4.312 4.312
Al 0.952 0.952 2.913


# 5
120
Lattice="9.076 -0.005 -0.004 -4.542 7.853 0.005 -0.010 0.008 22.843" Properties=species:S:1:pos:R:3 comment="Na3ScInP3O12 | Materials Project | PBE | optimized geometry" polymorph_energy_kcal_per_mol_atoms=0.14 corrected_energy_ev_per_atom=-7.2268 delta_e_f_mev_per_atom=-2793 density_g_cm3=3.1 pbc="T T T"
Na -0.004 0.004 11.420
Na -4.550 7.859 22.847
Na 4.408 2.543 19.034
Na 4.541 2.759 7.614
Na -0.001 5.234 3.814
Na -0.007 5.235 15.228
Na 1.223 7.848 5.706
Na 1.664 2.860 5.706
Na 2.885 4.978 17.125
Na 7.412 2.865 17.116
Na -2.900 5.493 13.330
Na 1.640 7.601 13.323
Na -1.675 7.616 1.913
Na -1.227 2.620 1.908
Na 5.747 5.228 20.955
Na 6.189 0.242 20.936
Na 7.430 2.367 9.516
Na 2.883 0.257 9.530
Sc 0.040 0.060 14.830
Sc 4.509 7.783 3.427
Sc 4.488 2.571 15.605
Sc 4.555 2.678 4.193
Sc 4.484 2.669 11.029
Sc -0.049 5.226 7.219
In 4.513 7.780 7.965
In 0.045 0.056 19.388
In 4.458 2.641 22.491
In 0.069 5.221 0.384
In 0.040 5.182 11.796
In -0.025 5.277 18.652
P -1.854 7.852 5.699
P 3.187 5.518 5.709
P 7.729 2.313 5.694
P 1.346 2.326 17.123
P 5.867 5.528 17.108
P 6.397 0.012 17.107
P 7.182 2.613 13.326
P 3.192 0.316 13.290
P 3.198 4.929 13.363
P 5.872 4.944 1.881
P 5.881 0.308 1.919
P 1.844 2.606 1.959
P 2.693 5.242 20.895
P -1.362 2.902 20.953
P -1.355 7.568 20.976
P 1.336 7.561 9.524
P 1.341 2.913 9.471
P -2.677 5.236 9.546
O 1.852 0.287 6.973
O 3.822 6.092 6.981
O 7.904 1.451 6.980
O 1.153 1.510 18.406
O 5.222 6.109 18.399
O 7.219 0.275 18.404
O 2.780 7.648 15.883
O 0.665 1.638 15.920
O -3.505 6.413 15.878
O 3.432 6.452 4.504
O -0.688 1.639 4.467
O -2.756 7.658 4.462
O 6.291 2.829 14.580
O 3.854 1.003 14.502
O 3.469 4.095 14.631
O 5.593 4.000 3.066
O 5.230 0.994 3.149
O 2.731 2.800 3.204
O 2.695 2.310 0.705
O 5.291 4.379 0.564
O 5.698 1.157 0.625
O 3.457 1.140 12.008
O 3.850 4.246 12.138
O 6.301 2.399 12.061
O 1.807 5.527 22.125
O -0.766 3.529 22.232
O -1.161 6.712 22.263
O 1.110 6.746 10.819
O 0.644 3.508 10.714
O -1.857 5.506 10.843
O -1.731 5.007 8.342
O 0.695 6.880 8.285
O 1.067 3.762 8.210
O -1.152 3.771 19.683
O -0.672 6.936 19.744
O 1.875 5.023 19.603
O -3.523 6.529 9.401
O 2.869 7.794 9.410
O 0.693 1.486 9.369
O -0.778 1.466 20.847
O -2.900 7.637 20.843
O 3.586 6.528 20.810
O 8.033 1.320 13.464
O 1.660 0.109 13.446
O 3.869 6.342 13.464
O 5.295 6.373 2.058
O 7.420 0.205 2.078
O 0.940 1.335 2.091
O 5.535 1.291 16.950
O 2.870 2.549 16.959
O 5.210 4.115 16.968
O 3.757 4.086 5.538
O 6.191 2.419 5.528
O 3.590 1.271 5.546
O 3.637 4.015 21.024
O 6.153 2.777 21.045
O 3.887 1.097 21.073
O 5.192 1.115 9.628
O 2.875 2.729 9.625
O 5.557 3.932 9.658
O 0.904 3.843 1.849
O -1.638 5.061 1.827
O 0.618 6.784 1.826
O -0.676 6.750 13.227
O 1.661 5.144 13.252
O -1.047 3.921 13.232
O -0.915 6.621 5.840
O 1.626 5.405 5.830
O -0.642 3.694 5.839
O 0.653 3.737 17.202
O -1.669 5.331 17.205
O 1.023 6.553 17.206


# 6
66
Lattice="6.752 -0.517 0.000 -3.842 10.233 0.000 0.000 0.000 12.583" Properties=species:S:1:pos:R:3 comment="Na4TeH10Se2O16 | Materials Project | PBE | optimized geometry" polymorph_energy_kcal_per_mol_atoms=0.00 corrected_energy_ev_per_atom=-5.2200 delta_e_f_mev_per_atom=-1325 density_g_cm3=2.5 pbc="T T T"
Na -0.100 2.076 9.041
Na 3.010 7.641 3.542
Na 3.285 1.411 12.286
Na 1.364 6.527 6.588
Na 4.931 2.525 2.749
Na -2.021 7.192 9.833
Na 1.546 3.190 5.994
Na -0.375 8.306 0.297
Te -1.921 5.117 0.000
Te 0.000 0.000 6.291
H 2.804 9.602 1.633
H 4.725 4.486 4.658
H -1.815 5.231 7.925
H -2.905 8.555 7.787
H 0.106 0.114 10.949
H -1.282 7.108 5.621
H 0.639 1.992 0.671
H 0.957 2.407 11.808
H 3.894 6.278 1.495
H -0.984 3.439 11.087
H 2.672 9.281 9.490
H -0.964 7.524 7.066
H 5.815 1.161 4.796
H 4.192 2.608 6.962
H 2.272 7.725 11.912
H 3.874 2.193 5.516
H 0.239 0.436 3.093
H 1.953 7.310 0.775
H 4.593 4.164 9.384
H -1.682 5.552 3.199
Se 3.303 -0.220 9.065
Se -0.393 9.937 3.517
Se 1.382 4.897 9.809
Se 1.528 4.820 2.774
O 0.839 3.468 10.529
O -0.843 4.021 1.044
O 1.143 8.790 5.602
O 2.072 6.249 2.054
O 0.948 1.615 12.411
O 3.753 5.696 11.538
O 0.850 4.788 8.206
O -0.973 6.731 6.463
O 1.886 0.997 8.428
O 1.024 8.720 4.154
O 2.060 4.929 4.376
O 6.170 -0.428 10.250
O 3.981 -0.187 1.915
O -3.260 10.145 2.333
O 1.962 8.102 0.172
O -0.035 6.114 10.446
O 3.992 1.132 4.238
O 3.883 2.985 6.119
O 4.805 3.160 11.115
O -2.763 9.138 5.247
O -1.082 8.584 8.345
O 1.768 0.926 6.981
O -1.894 6.557 1.468
O 0.026 1.440 4.824
O -1.071 9.904 10.667
O -1.339 5.028 3.958
O 2.884 8.276 7.759
O 3.064 3.674 0.689
O 2.945 3.603 2.137
O 4.249 4.689 8.624
O 5.674 0.579 7.336
O -0.153 6.043 11.893


# 7
4
Lattice="2.830 0.000 0.000 0.000 4.648 0.000 0.000 0.000 5.051" Properties=species:S:1:pos:R:3 comment="NbPt | Materials Project | PBE | optimized geometry" delta_e_f_mev_per_atom=-612 density_g_cm3=14.4 pbc="T T T"
Nb 0.000 1.162 0.908
Nb 0.000 3.486 4.143
Pt 1.415 1.162 3.409
Pt 1.415 3.486 1.641


# 8
34
Lattice="-0.698 -2.520 -4.592 2.340 1.978 -4.305 15.209 -10.388 1.779" Properties=species:S:1:pos:R:3 comment="Al2Si2H4O9 | Materials Project | PBE | optimized geometry" polymorph_energy_kcal_per_mol_atoms=15.01 corrected_energy_ev_per_atom=-6.4578 delta_e_f_mev_per_atom=-1961 density_g_cm3=1.9 pbc="T T T"
Al 4.850 -2.130 -2.249
Al 11.527 -8.697 -1.447
Al 4.270 -5.512 -3.990
Al 14.541 -6.758 -2.849
Si 7.260 -6.844 -4.252
Si 16.910 -9.010 -3.169
Si 8.589 -4.546 -2.831
Si 15.199 -11.212 -2.036
H 6.765 -4.249 -4.019
H 14.310 -9.531 -3.135
H 3.511 -1.251 -6.027
H 10.435 -7.453 -5.202
H 1.988 -2.391 -6.374
H 10.938 -5.593 -5.358
H 4.193 -0.969 -5.865
H 10.420 -8.202 -5.106
O 8.482 -6.072 -3.442
O 1.397 -0.108 -4.282
O 9.994 -3.785 -3.213
O -0.165 -2.372 -4.344
O 8.397 -4.605 -1.216
O 15.086 -11.155 -0.413
O 5.982 -5.842 -4.181
O 15.500 -8.204 -3.111
O 7.411 -3.641 -3.575
O 13.964 -10.392 -2.784
O 3.815 -2.553 -3.755
O 11.619 -7.452 -2.847
O 4.641 -3.609 -3.423
O 12.886 -7.855 -2.473
O 5.606 -3.802 -6.934
O 13.633 -8.369 -6.004
O 4.102 -2.608 -0.825
O 11.605 -7.952 0.055


# 9
4
Lattice="0.990 -4.155 -1.802 1.900 -3.287 2.660 -2.489 -3.713 1.229" Properties=species:S:1:pos:R:3 comment="HoTaOs2 | Materials Project | PBE | optimized geometry" delta_e_f_mev_per_atom=-244 density_g_cm3=17.1 pbc="T T T"
Ho 0.000 0.000 0.000
Ta 0.201 -5.578 1.044
Os 0.301 -8.366 1.566
Os 0.100 -2.789 0.522


| no. | electronic total energy (eV for the cell shown) |
| --- | --- |
| 1 | -720.92 |
| 2 | -6.26 |
| 3 | -44.81 |
| 4 | -77.01 |
| 5 | -817.75 |
| 6 | -322.54 |
| 7 | -34.79 |
| 8 | -207.20 |
| 9 | -39.87 |